Na4Fe2PC4O16: optimized geometry, PBE with a Hubbard U.

Lattice parameters (Å, degrees): 13.773 13.865 14.412 90.00 90.00 90.00
Space group Fddd (No. 70, origin choice 2)
Asymmetric unit:
Na (0.085, 0.375, 0.375) x16
Na (0.125, 0.335, 0.125) x16
Fe (0.000, 0.000, 0.500) x16
P (0.125, 0.125, 0.125) x8
C (0.033, 0.035, 0.710) x32
O (0.017, 0.105, 0.768) x32
O (0.022, 0.274, 0.888) x32
O (0.060, 0.059, 0.064) x32
O (0.104, 0.275, 0.524) x32

## Properties
magnetic moment = 11.0 μB per formula unit
uncorrected energy = -6.7094 eV per atom